No. 1
Ta11Al4 | PBE-GGA | relaxed

a = 10.0305 Å, b = 5.2194 Å, c = 10.0930 Å
α = 90.00°, β = 90.39°, γ = 90.00°
Fractional coordinates of all 30 atoms:
Ta 0.0354 0.0000 0.1264
Ta 0.1021 0.0000 0.3977
Ta 0.1287 0.5000 0.9645
Ta 0.1817 0.2500 0.6844
Ta 0.1817 0.7500 0.6844
Ta 0.2578 0.5000 0.4339
Ta 0.3179 0.2542 0.1794
Ta 0.3179 0.7458 0.1794
Ta 0.3707 0.0000 0.4639
Ta 0.3971 0.5000 0.8968
Ta 0.4640 0.5000 0.6299
Ta 0.5360 0.5000 0.3701
Ta 0.6029 0.5000 0.1032
Ta 0.6293 0.0000 0.5361
Ta 0.6821 0.2542 0.8206
Ta 0.6821 0.7458 0.8206
Ta 0.7422 0.5000 0.5661
Ta 0.8183 0.2500 0.3156
Ta 0.8183 0.7500 0.3156
Ta 0.8713 0.5000 0.0355
Ta 0.8979 0.0000 0.6023
Ta 0.9646 0.0000 0.8736
Al 0.0000 0.5000 0.5000
Al 0.0663 0.5000 0.2356
Al 0.2371 0.0000 0.9341
Al 0.4327 0.0000 0.7394
Al 0.5000 0.0000 0.0000
Al 0.5673 0.0000 0.2606
Al 0.7629 0.0000 0.0659
Al 0.9337 0.5000 0.7644

Values from the calculation:
- E (eV/atom) = -9.871
- formation energy from the elements (eV/atom) = -0.176
- crystal system = monoclinic


No. 2
Ta5Al3 | PBE-GGA | relaxed

a = 7.8190 Å, b = 7.8190 Å, c = 5.2340 Å
α = 90.00°, β = 90.00°, γ = 120.00°
Fractional coordinates of all 16 atoms:
Ta 0.0000 0.2299 0.2500
Ta 0.0000 0.7701 0.7500
Ta 0.2299 0.0000 0.2500
Ta 0.2299 0.2299 0.7500
Ta 0.3333 0.6667 0.0000
Ta 0.3333 0.6667 0.5000
Ta 0.6667 0.3333 0.0000
Ta 0.6667 0.3333 0.5000
Ta 0.7701 0.0000 0.7500
Ta 0.7701 0.7701 0.2500
Al 0.0000 0.4046 0.7500
Al 0.0000 0.5954 0.2500
Al 0.4046 0.0000 0.7500
Al 0.4046 0.4046 0.2500
Al 0.5954 0.0000 0.2500
Al 0.5954 0.5954 0.7500

Values from the calculation:
- E (eV/atom) = -8.948
- formation energy from the elements (eV/atom) = -0.133
- crystal system = hexagonal


No. 3
TaTiAl6 | PBE-GGA | relaxed

a = 3.8464 Å, b = 3.8464 Å, c = 8.6419 Å
α = 90.00°, β = 90.00°, γ = 90.00°
Fractional coordinates of all 8 atoms:
Ta 0.0000 0.0000 0.0000
Ti 0.5000 0.5000 0.5000
Al 0.0000 0.0000 0.5000
Al 0.0000 0.5000 0.2508
Al 0.0000 0.5000 0.7492
Al 0.5000 0.0000 0.2508
Al 0.5000 0.0000 0.7492
Al 0.5000 0.5000 0.0000

Values from the calculation:
- E (eV/atom) = -5.638
- formation energy from the elements (eV/atom) = -0.359
- crystal system = tetragonal


No. 4
TaTiAl | PBE-GGA | relaxed

a = 6.3477 Å, b = 6.3477 Å, c = 6.3477 Å
α = 90.00°, β = 90.00°, γ = 90.00°
Fractional coordinates of all 12 atoms:
Ta 0.0000 0.0000 0.0000
Ta 0.0000 0.5000 0.5000
Ta 0.5000 0.0000 0.5000
Ta 0.5000 0.5000 0.0000
Ti 0.2500 0.2500 0.2500
Ti 0.2500 0.7500 0.7500
Ti 0.7500 0.2500 0.7500
Ti 0.7500 0.7500 0.2500
Al 0.2500 0.2500 0.7500
Al 0.2500 0.7500 0.2500
Al 0.7500 0.2500 0.2500
Al 0.7500 0.7500 0.7500

Values from the calculation:
- E (eV/atom) = -7.022
- formation energy from the elements (eV/atom) = 0.811
- crystal system = cubic


No. 5
U6Ta4Al43 | PBE-GGA | relaxed

a = 11.1394 Å, b = 11.1394 Å, c = 17.5558 Å
α = 90.00°, β = 90.00°, γ = 120.00°
Fractional coordinates of all 106 atoms:
U 0.0000 0.4732 0.0905
U 0.0000 0.4732 0.4095
U 0.0000 0.5268 0.5905
U 0.0000 0.5268 0.9095
U 0.4732 0.0000 0.0905
U 0.4732 0.0000 0.4095
U 0.4732 0.4732 0.5905
U 0.4732 0.4732 0.9095
U 0.5268 0.0000 0.5905
U 0.5268 0.0000 0.9095
U 0.5268 0.5268 0.0905
U 0.5268 0.5268 0.4095
Ta 0.0000 0.0000 0.0000
Ta 0.0000 0.0000 0.5000
Ta 0.0000 0.2757 0.2500
Ta 0.0000 0.7243 0.7500
Ta 0.2757 0.0000 0.2500
Ta 0.2757 0.2757 0.7500
Ta 0.7243 0.0000 0.7500
Ta 0.7243 0.7243 0.2500
Al 0.0000 0.1463 0.7500
Al 0.0000 0.1607 0.1149
Al 0.0000 0.1607 0.3851
Al 0.0000 0.2570 0.5295
Al 0.0000 0.2570 0.9705
Al 0.0000 0.7430 0.0295
Al 0.0000 0.7430 0.4705
Al 0.0000 0.8393 0.6149
Al 0.0000 0.8393 0.8851
Al 0.0000 0.8537 0.2500
Al 0.1463 0.0000 0.7500
Al 0.1463 0.1463 0.2500
Al 0.1484 0.5554 0.2500
Al 0.1484 0.5930 0.7500
Al 0.1575 0.3954 0.6631
Al 0.1575 0.3954 0.8369
Al 0.1575 0.7621 0.1631
Al 0.1575 0.7621 0.3369
Al 0.1607 0.0000 0.1149
Al 0.1607 0.0000 0.3851
Al 0.1607 0.1607 0.6149
Al 0.1607 0.1607 0.8851
Al 0.2379 0.3954 0.1631
Al 0.2379 0.3954 0.3369
Al 0.2379 0.8425 0.6631
Al 0.2379 0.8425 0.8369
Al 0.2471 0.4941 0.0000
Al 0.2471 0.4941 0.5000
Al 0.2471 0.7529 0.0000
Al 0.2471 0.7529 0.5000
Al 0.2570 0.0000 0.5295
Al 0.2570 0.0000 0.9705
Al 0.2570 0.2570 0.0295
Al 0.2570 0.2570 0.4705
Al 0.3333 0.6667 0.1268
Al 0.3333 0.6667 0.3732
Al 0.3333 0.6667 0.6268
Al 0.3333 0.6667 0.8732
Al 0.3954 0.1575 0.6631
Al 0.3954 0.1575 0.8369
Al 0.3954 0.2379 0.1631
Al 0.3954 0.2379 0.3369
Al 0.4070 0.5554 0.7500
Al 0.4070 0.8516 0.2500
Al 0.4446 0.5930 0.2500
Al 0.4446 0.8516 0.7500
Al 0.4941 0.2471 0.0000
Al 0.4941 0.2471 0.5000
Al 0.5059 0.7529 0.0000
Al 0.5059 0.7529 0.5000
Al 0.5554 0.1484 0.2500
Al 0.5554 0.4070 0.7500
Al 0.5930 0.1484 0.7500
Al 0.5930 0.4446 0.2500
Al 0.6046 0.7621 0.6631
Al 0.6046 0.7621 0.8369
Al 0.6046 0.8425 0.1631
Al 0.6046 0.8425 0.3369
Al 0.6667 0.3333 0.1268
Al 0.6667 0.3333 0.3732
Al 0.6667 0.3333 0.6268
Al 0.6667 0.3333 0.8732
Al 0.7430 0.0000 0.0295
Al 0.7430 0.0000 0.4705
Al 0.7430 0.7430 0.5295
Al 0.7430 0.7430 0.9705
Al 0.7529 0.2471 0.0000
Al 0.7529 0.2471 0.5000
Al 0.7529 0.5059 0.0000
Al 0.7529 0.5059 0.5000
Al 0.7621 0.1575 0.1631
Al 0.7621 0.1575 0.3369
Al 0.7621 0.6046 0.6631
Al 0.7621 0.6046 0.8369
Al 0.8393 0.0000 0.6149
Al 0.8393 0.0000 0.8851
Al 0.8393 0.8393 0.1149
Al 0.8393 0.8393 0.3851
Al 0.8425 0.2379 0.6631
Al 0.8425 0.2379 0.8369
Al 0.8425 0.6046 0.1631
Al 0.8425 0.6046 0.3369
Al 0.8516 0.4070 0.2500
Al 0.8516 0.4446 0.7500
Al 0.8537 0.0000 0.2500
Al 0.8537 0.8537 0.7500

Values from the calculation:
- E (eV/atom) = -5.393
- formation energy from the elements (eV/atom) = -0.181
- crystal system = hexagonal


No. 6
Y6Ta4Al43 | PBE-GGA | relaxed

a = 11.1404 Å, b = 11.1404 Å, c = 17.7605 Å
α = 90.00°, β = 90.00°, γ = 120.00°
Fractional coordinates of all 106 atoms:
Y 0.0000 0.4703 0.0964
Y 0.0000 0.4703 0.4036
Y 0.0000 0.5297 0.5964
Y 0.0000 0.5297 0.9036
Y 0.4703 0.0000 0.0964
Y 0.4703 0.0000 0.4036
Y 0.4703 0.4703 0.5964
Y 0.4703 0.4703 0.9036
Y 0.5297 0.0000 0.5964
Y 0.5297 0.0000 0.9036
Y 0.5297 0.5297 0.0964
Y 0.5297 0.5297 0.4036
Ta 0.0000 0.0000 0.0000
Ta 0.0000 0.0000 0.5000
Ta 0.0000 0.2742 0.2500
Ta 0.0000 0.7258 0.7500
Ta 0.2742 0.0000 0.2500
Ta 0.2742 0.2742 0.7500
Ta 0.7258 0.0000 0.7500
Ta 0.7258 0.7258 0.2500
Al 0.0000 0.1469 0.7500
Al 0.0000 0.1590 0.1152
Al 0.0000 0.1590 0.3848
Al 0.0000 0.2559 0.5302
Al 0.0000 0.2559 0.9698
Al 0.0000 0.7441 0.0302
Al 0.0000 0.7441 0.4698
Al 0.0000 0.8410 0.6152
Al 0.0000 0.8410 0.8848
Al 0.0000 0.8531 0.2500
Al 0.1469 0.0000 0.7500
Al 0.1469 0.1469 0.2500
Al 0.1497 0.5544 0.2500
Al 0.1497 0.5953 0.7500
Al 0.1572 0.3945 0.6637
Al 0.1572 0.3945 0.8363
Al 0.1572 0.7627 0.1637
Al 0.1572 0.7627 0.3363
Al 0.1590 0.0000 0.1152
Al 0.1590 0.0000 0.3848
Al 0.1590 0.1590 0.6152
Al 0.1590 0.1590 0.8848
Al 0.2373 0.3945 0.1637
Al 0.2373 0.3945 0.3363
Al 0.2373 0.8428 0.6637
Al 0.2373 0.8428 0.8363
Al 0.2471 0.4942 0.0000
Al 0.2471 0.4942 0.5000
Al 0.2471 0.7529 0.0000
Al 0.2471 0.7529 0.5000
Al 0.2559 0.0000 0.5302
Al 0.2559 0.0000 0.9698
Al 0.2559 0.2559 0.0302
Al 0.2559 0.2559 0.4698
Al 0.3333 0.6667 0.1265
Al 0.3333 0.6667 0.3735
Al 0.3333 0.6667 0.6265
Al 0.3333 0.6667 0.8735
Al 0.3945 0.1572 0.6637
Al 0.3945 0.1572 0.8363
Al 0.3945 0.2373 0.1637
Al 0.3945 0.2373 0.3363
Al 0.4047 0.5544 0.7500
Al 0.4047 0.8503 0.2500
Al 0.4456 0.5953 0.2500
Al 0.4456 0.8503 0.7500
Al 0.4942 0.2471 0.0000
Al 0.4942 0.2471 0.5000
Al 0.5058 0.7529 0.0000
Al 0.5058 0.7529 0.5000
Al 0.5544 0.1497 0.2500
Al 0.5544 0.4047 0.7500
Al 0.5953 0.1497 0.7500
Al 0.5953 0.4456 0.2500
Al 0.6055 0.7627 0.6637
Al 0.6055 0.7627 0.8363
Al 0.6055 0.8428 0.1637
Al 0.6055 0.8428 0.3363
Al 0.6667 0.3333 0.1265
Al 0.6667 0.3333 0.3735
Al 0.6667 0.3333 0.6265
Al 0.6667 0.3333 0.8735
Al 0.7441 0.0000 0.0302
Al 0.7441 0.0000 0.4698
Al 0.7441 0.7441 0.5302
Al 0.7441 0.7441 0.9698
Al 0.7529 0.2471 0.0000
Al 0.7529 0.2471 0.5000
Al 0.7529 0.5058 0.0000
Al 0.7529 0.5058 0.5000
Al 0.7627 0.1572 0.1637
Al 0.7627 0.1572 0.3363
Al 0.7627 0.6055 0.6637
Al 0.7627 0.6055 0.8363
Al 0.8410 0.0000 0.6152
Al 0.8410 0.0000 0.8848
Al 0.8410 0.8410 0.1152
Al 0.8410 0.8410 0.3848
Al 0.8428 0.2373 0.6637
Al 0.8428 0.2373 0.8363
Al 0.8428 0.6055 0.1637
Al 0.8428 0.6055 0.3363
Al 0.8503 0.4047 0.2500
Al 0.8503 0.4456 0.7500
Al 0.8531 0.0000 0.2500
Al 0.8531 0.8531 0.7500

Values from the calculation:
- E (eV/atom) = -4.976
- formation energy from the elements (eV/atom) = -0.311
- crystal system = hexagonal